U4B3C5: optimized geometry, r2SCAN.

Properties
ΔE_f	-0.460	eV per atom

Geometry as CIF:
```
data_U4B3C5
_cell_length_a 3.265
_cell_length_b 3.668
_cell_length_c 11.881
_cell_angle_alpha 90.00
_cell_angle_beta 90.00
_cell_angle_gamma 90.00
_symmetry_space_group_name_H-M 'P m m 2'
_symmetry_Int_Tables_number 25
loop_
_symmetry_equiv_pos_as_xyz
'x,y,z'
'-x,-y,z'
'-x,y,z'
'x,-y,z'
loop_
_atom_site_label
_atom_site_type_symbol
_atom_site_fract_x
_atom_site_fract_y
_atom_site_fract_z
_atom_site_occupancy
U1 U 0.000 0.000 0.000 1
U2 U 0.000 0.500 0.495 1
U3 U 0.500 0.000 0.722 1
U4 U 0.500 0.500 0.225 1
B1 B 0.000 0.500 0.825 1
B2 B 0.500 0.000 0.393 1
B3 B 0.500 0.500 0.896 1
C1 C 0.000 0.000 0.201 1
C2 C 0.000 0.000 0.325 1
C3 C 0.000 0.500 0.693 1
C4 C 0.500 0.000 0.523 1
C5 C 0.500 0.500 0.029 1
```

YB2C: optimized geometry, r2SCAN.

Properties
ΔE_f	-0.613	eV per atom

Geometry as CIF:
```
data_YB2C
_cell_length_a 6.792
_cell_length_b 6.792
_cell_length_c 7.479
_cell_angle_alpha 90.00
_cell_angle_beta 90.00
_cell_angle_gamma 90.00
_symmetry_space_group_name_H-M 'P 42/m b c'
_symmetry_Int_Tables_number 135
_symmetry_space_group_name_Hall '-P 4c 2ab'
loop_
_atom_site_label
_atom_site_type_symbol
_atom_site_fract_x
_atom_site_fract_y
_atom_site_fract_z
_atom_site_occupancy
Y1 Y 0.191 0.309 0.250 1
B1 B 0.034 0.849 0.000 1
B2 B 0.095 0.597 0.000 1
C1 C 0.041 0.823 0.500 1
```

CaB2F8: optimized geometry, r2SCAN.

Properties
ΔE_f	-3.414	eV per atom

Geometry as CIF:
```
data_CaB2F8
_cell_length_a 8.807
_cell_length_b 13.190
_cell_length_c 9.252
_cell_angle_alpha 90.00
_cell_angle_beta 90.00
_cell_angle_gamma 90.00
_symmetry_space_group_name_H-M 'P b c a'
_symmetry_Int_Tables_number 61
loop_
_symmetry_equiv_pos_as_xyz
'x,y,z'
'-x,-y,-z'
'-x+1/2,-y,z+1/2'
'x+1/2,y,-z+1/2'
'x+1/2,-y+1/2,-z'
'-x+1/2,y+1/2,z'
'-x,y+1/2,-z+1/2'
'x,-y+1/2,z+1/2'
loop_
_atom_site_label
_atom_site_type_symbol
_atom_site_fract_x
_atom_site_fract_y
_atom_site_fract_z
_atom_site_occupancy
Ca1 Ca 0.219 0.105 0.034 1
B1 B 0.005 0.062 0.723 1
B2 B 0.183 0.656 0.396 1
F1 F 0.025 0.664 0.416 1
F2 F 0.077 0.622 0.875 1
F3 F 0.082 0.514 0.146 1
F4 F 0.096 0.516 0.679 1
F5 F 0.107 0.122 0.801 1
F6 F 0.221 0.683 0.253 1
F7 F 0.229 0.555 0.420 1
F8 F 0.242 0.221 0.492 1
```

Ca2BHN2: optimized geometry, r2SCAN.

Properties
ΔE_f	-1.221	eV per atom

Geometry as CIF:
```
data_Ca2BHN2
_cell_length_a 9.184
_cell_length_b 3.662
_cell_length_c 9.971
_cell_angle_alpha 90.00
_cell_angle_beta 90.00
_cell_angle_gamma 90.00
_symmetry_space_group_name_H-M 'P n m a'
_symmetry_Int_Tables_number 62
loop_
_symmetry_equiv_pos_as_xyz
'x,y,z'
'-x,-y,-z'
'-x+1/2,-y,z+1/2'
'x+1/2,y,-z+1/2'
'x+1/2,-y+1/2,-z+1/2'
'-x+1/2,y+1/2,z+1/2'
'-x,y+1/2,-z'
'x,-y+1/2,z'
loop_
_atom_site_label
_atom_site_type_symbol
_atom_site_fract_x
_atom_site_fract_y
_atom_site_fract_z
_atom_site_occupancy
Ca1 Ca 0.026 0.250 0.156 1
Ca2 Ca 0.177 0.250 0.524 1
B1 B 0.234 0.250 0.824 1
H1 H 0.041 0.750 0.604 1
N1 N 0.152 0.250 0.936 1
N2 N 0.179 0.750 0.217 1
```